Li2RhF6 | the Materials Project | PBE-GGA | optimized geometry; formation enthalpy at 0 K = -2149 kJ/mol of formula units; DFT total energy = -4.686 eV/atom; calculated density = 3.7 Mg/m³
1.0
4.7197 0.0000 0.0000
0.0000 4.7197 0.0000
0.0000 0.0000 9.2428
Li Rh F
4 2 12
Cartesian
0.0000 0.0000 1.5325
0.0000 0.0000 7.7103
2.3599 2.3599 3.0889
2.3599 2.3599 6.1540
0.0000 0.0000 4.6214
2.3599 2.3599 0.0000
0.9197 0.9197 3.1533
0.9197 0.9197 6.0895
0.9885 0.9885 0.0000
1.3713 3.3484 4.6214
1.4402 3.2795 1.4681
1.4402 3.2795 7.7747
3.2795 1.4402 1.4681
3.2795 1.4402 7.7747
3.3484 1.3713 4.6214
3.7312 3.7312 0.0000
3.8001 3.8001 3.1533
3.8001 3.8001 6.0895